Record 1
Material: Fe7O8
Method: DFT, PBE+U
State: optimized geometry

```
Fe7O8
1.0
6.087 0.000 0.000
3.020 5.373 0.000
3.023 1.738 10.149
Fe O
14 16
Direct
0.000 0.000 0.000
0.000 0.000 0.500
0.000 0.500 0.000
0.000 0.500 0.500
0.240 0.256 0.252
0.251 0.758 0.750
0.258 0.749 0.248
0.500 0.000 0.000
0.500 0.000 0.500
0.500 0.500 0.000
0.500 0.500 0.500
0.742 0.251 0.752
0.749 0.242 0.250
0.760 0.744 0.748
0.117 0.146 0.119
0.124 0.659 0.620
0.129 0.127 0.608
0.146 0.620 0.116
0.354 0.886 0.384
0.365 0.379 0.891
0.379 0.355 0.382
0.385 0.844 0.881
0.615 0.156 0.119
0.621 0.645 0.618
0.635 0.621 0.109
0.646 0.114 0.616
0.854 0.380 0.884
0.871 0.873 0.392
0.876 0.341 0.380
0.883 0.854 0.881
```

Calculated values
- Magnetization: 60.00 Bohr magnetons per cell


Record 2
Material: Fe23O32
Method: DFT, PBE+U
State: optimized geometry

```
Fe23O32
1.0
8.419 0.000 0.000
-0.025 8.450 0.000
-0.010 -0.060 8.461
Fe O
23 32
Direct
0.000 0.000 0.000
0.000 0.504 0.493
0.123 0.878 0.618
0.124 0.126 0.373
0.125 0.626 0.872
0.128 0.377 0.123
0.250 0.755 0.257
0.254 0.247 0.744
0.373 0.876 0.873
0.374 0.627 0.621
0.375 0.377 0.373
0.376 0.128 0.124
0.492 0.004 0.497
0.501 0.503 0.000
0.629 0.378 0.620
0.631 0.129 0.874
0.631 0.635 0.377
0.635 0.881 0.131
0.758 0.256 0.250
0.759 0.755 0.751
0.876 0.118 0.615
0.879 0.378 0.873
0.879 0.630 0.128
0.115 0.619 0.130
0.123 0.116 0.609
0.128 0.135 0.137
0.128 0.642 0.619
0.134 0.372 0.886
0.136 0.880 0.857
0.141 0.364 0.368
0.143 0.897 0.391
0.363 0.144 0.369
0.363 0.872 0.632
0.369 0.376 0.138
0.373 0.634 0.869
0.383 0.381 0.607
0.383 0.880 0.113
0.385 0.610 0.375
0.388 0.120 0.878
0.606 0.866 0.364
0.610 0.384 0.380
0.616 0.889 0.879
0.620 0.367 0.863
0.625 0.121 0.115
0.626 0.621 0.615
0.628 0.133 0.631
0.639 0.634 0.131
0.864 0.376 0.625
0.864 0.613 0.353
0.866 0.858 0.113
0.867 0.131 0.875
0.879 0.624 0.892
0.887 0.393 0.121
0.896 0.881 0.635
0.897 0.142 0.374
```

Calculated values
- Magnetization: 110.00 Bohr magnetons per cell


Record 3
Material: FeO
Method: DFT, PBE+U
State: optimized geometry

```
FeO
1.0
3.049 0.000 0.000
1.522 2.682 0.000
0.138 0.234 5.268
Fe O
2 2
Direct
0.000 0.000 0.000
0.000 0.000 0.500
0.336 0.329 0.244
0.664 0.671 0.756
```

Calculated values
- Magnetization: 8.00 Bohr magnetons per cell


Record 4
Material: FeO
Method: DFT, PBE+U
State: optimized geometry

```
FeO
1.0
2.853 -0.037 1.155
-2.000 -2.056 1.117
0.161 -3.834 -3.592
Fe O
2 2
Direct
0.500 0.500 0.500
0.000 0.000 0.000
0.250 0.750 0.750
0.750 0.250 0.250
```

Calculated values
- Magnetization: 0.00 Bohr magnetons per cell


In meV per atom, the formation energy from the elements values for the records above are, in order, -1493.9, -1559.0, -1365.9, -1472.2.